First-principles (PBE) data for a geometry-optimized AgPb4ClO4 structure, as listed in the Materials Project.

Cell and atoms, written as POSCAR:
```
AgPb4ClO4
1.0
-7.024 4.639 0.806
-3.242 -5.815 5.214
2.645 3.116 5.120
Ag Pb Cl O
2 8 2 8
Direct
0.500 0.000 0.904 Ag
0.000 0.500 0.096 Ag
0.196 0.144 0.224 Pb
0.356 0.696 0.224 Pb
0.644 0.304 0.224 Pb
0.304 0.356 0.776 Pb
0.144 0.804 0.776 Pb
0.856 0.196 0.776 Pb
0.804 0.856 0.224 Pb
0.696 0.644 0.776 Pb
0.000 0.500 0.487 Cl
0.500 0.000 0.513 Cl
0.753 0.090 0.071 O
0.410 0.253 0.071 O
0.247 0.910 0.071 O
0.590 0.747 0.071 O
0.910 0.753 0.929 O
0.253 0.590 0.929 O
0.090 0.247 0.929 O
0.747 0.410 0.929 O
```

Values from the calculation:
Space group = P4/n, No. 85
Corrected total energy (MP2020 scheme) = -5.211 eV/atom
Energy relative to the elements = -1.2785 eV per atom